Entry from the Materials Project database: a relaxed structure of Cs5Ga3Se7 (PBE-GGA).

Calculated total energy ... -107.10 eV per cell
MP2020-corrected energy ... -0.2786 Ry per atom
Formation enthalpy at 0 K ... -18.82 eV per formula unit

a b c (Å): 11.4091 11.4091 9.8479
angles (deg): 104.52 104.52 71.14
With the nearest neighbours (Å) after each atom.
Positions (direct):
Cs 0.0253 0.4380 0.7814  4 Se 3.56-3.83
Cs 0.1518 0.8482 0.0000  4 Se 3.52-3.92
Cs 0.2877 0.7123 0.5000  6 Se 3.74-3.87, 2 Ga 4.14
Cs 0.4258 0.4258 0.8081  5 Se 3.61-3.69, 1 Cs 3.93
Cs 0.4380 0.0253 0.7814  4 Se 3.56-3.83
Cs 0.5620 0.9747 0.2186  4 Se 3.56-3.83
Cs 0.5742 0.5742 0.1919  5 Se 3.61-3.69, 1 Cs 3.93
Cs 0.7123 0.2877 0.5000  6 Se 3.74-3.87, 2 Ga 4.14
Cs 0.8482 0.1518 0.0000  4 Se 3.52-3.92
Cs 0.9747 0.5620 0.2186  4 Se 3.56-3.83
Ga 0.0717 0.0717 0.4422  4 Se 2.45
Ga 0.2132 0.2132 0.3172  4 Se 2.42-2.48
Ga 0.3472 0.3472 0.1645  4 Se 2.40-2.54
Ga 0.6528 0.6528 0.8355  4 Se 2.40-2.54
Ga 0.7868 0.7868 0.6828  4 Se 2.42-2.48
Ga 0.9283 0.9283 0.5578  4 Se 2.45
Se 0.0032 0.2841 0.3863  2 Ga 2.45-2.48
Se 0.0643 0.0643 0.6867  2 Ga 2.45
Se 0.2046 0.2046 0.0667  2 Ga 2.42-2.52
Se 0.2504 0.5534 0.1053  1 Ga 2.40
Se 0.2841 0.0032 0.3863  2 Ga 2.45-2.48
Se 0.3503 0.3503 0.4238  2 Ga 2.43-2.54
Se 0.4466 0.7496 0.8947  1 Ga 2.40
Se 0.5534 0.2504 0.1053  1 Ga 2.40
Se 0.6497 0.6497 0.5762  2 Ga 2.43-2.54
Se 0.7159 0.9968 0.6137  2 Ga 2.45-2.48
Se 0.7496 0.4466 0.8947  1 Ga 2.40
Se 0.7954 0.7954 0.9333  2 Ga 2.42-2.52
Se 0.9357 0.9357 0.3133  2 Ga 2.45
Se 0.9968 0.7159 0.6137  2 Ga 2.45-2.48


Entry from the Materials Project database: a relaxed structure of CsGd (PBE-GGA).

Calculated total energy ... -13.71 eV per cell
Formation enthalpy at 0 K ... 1.26 eV per formula unit

a b c (Å): 3.9494 3.9494 7.4996
angles (deg): 90.00 90.00 120.00
With the nearest neighbours (Å) after each atom.
Positions (direct):
Cs 0.0000 0.0000 0.0000  6 Cs 3.95, 6 Gd 4.39
Gd 0.6667 0.3333 0.5000  6 Gd 3.95, 6 Cs 4.39


Entry from the Materials Project database: a relaxed structure of CsGdHgSe3 (PBE-GGA).

Calculated total energy ... -66.40 eV per cell
MP2020-corrected energy ... -0.4240 Ry per atom
Formation enthalpy at 0 K ... -8.85 eV per formula unit

a b c (Å): 8.4566 8.4566 11.2525
angles (deg): 90.00 90.00 150.24
With the nearest neighbours (Å) after each atom.
Positions (direct):
Cs 0.2438 0.7562 0.7500  8 Se 3.70-3.90, 2 Hg 4.07
Cs 0.7562 0.2438 0.2500  8 Se 3.70-3.90, 2 Hg 4.07
Gd 0.5000 0.5000 0.0000  6 Se 2.96-2.98
Gd 0.5000 0.5000 0.5000  6 Se 2.96-2.98
Hg 0.0455 0.9545 0.2500  4 Se 2.63-2.78
Hg 0.9545 0.0455 0.7500  4 Se 2.63-2.78
Se 0.1193 0.8807 0.0423  1 Hg 2.63
Se 0.1193 0.8807 0.4577  1 Hg 2.63
Se 0.4397 0.5603 0.2500  2 Hg 2.78, 2 Gd 2.98
Se 0.5603 0.4397 0.7500  2 Hg 2.78, 2 Gd 2.98
Se 0.8807 0.1193 0.5423  1 Hg 2.63
Se 0.8807 0.1193 0.9577  1 Hg 2.63


Entry from the Materials Project database: a relaxed structure of CsGdO3 (PBE-GGA).

Calculated total energy ... -39.10 eV per cell
MP2020-corrected energy ... -0.6050 Ry per atom
Formation enthalpy at 0 K ... -11.34 eV per formula unit

a b c (Å): 4.5455 4.5455 4.5455
angles (deg): 90.00 90.00 90.00
With the nearest neighbours (Å) after each atom.
Positions (direct):
Cs 0.0000 0.0000 0.0000  12 O 3.21
Gd 0.5000 0.5000 0.5000  6 O 2.27
O 0.0000 0.5000 0.5000  2 Gd 2.27
O 0.5000 0.0000 0.5000  2 Gd 2.27
O 0.5000 0.5000 0.0000  2 Gd 2.27


Entry from the Materials Project database: a relaxed structure of CsGdP4O12 (PBE-GGA).

Calculated total energy ... -560.63 eV per cell
MP2020-corrected energy ... -0.6060 Ry per atom
Formation enthalpy at 0 K ... -52.40 eV per formula unit

a b c (Å): 10.5129 9.0446 13.0643
angles (deg): 90.00 123.74 90.00
With the nearest neighbours (Å) after each atom.
Positions (direct):
Cs 0.2217 0.0651 0.0393  9 O 3.13-3.42
Cs 0.2217 0.4349 0.5393  9 O 3.13-3.42
Cs 0.7783 0.5651 0.4607  9 O 3.13-3.42
Cs 0.7783 0.9349 0.9607  9 O 3.13-3.42
Gd 0.3164 0.7259 0.8189  8 O 2.34-2.48
Gd 0.3164 0.7741 0.3189  8 O 2.34-2.48
Gd 0.6836 0.2259 0.6811  8 O 2.34-2.48
Gd 0.6836 0.2741 0.1811  8 O 2.34-2.48
P 0.0324 0.0288 0.2863  4 O 1.50-1.63
P 0.0324 0.4712 0.7863  4 O 1.50-1.63
P 0.2005 0.6076 0.0264  4 O 1.50-1.63
P 0.2005 0.8924 0.5264  4 O 1.50-1.63
P 0.3271 0.1739 0.3669  4 O 1.50-1.63
P 0.3271 0.3261 0.8669  4 O 1.50-1.63
P 0.3883 0.0911 0.7425  4 O 1.50-1.63
P 0.3883 0.4089 0.2425  4 O 1.50-1.63
P 0.6117 0.5911 0.7575  4 O 1.50-1.63
P 0.6117 0.9089 0.2575  4 O 1.50-1.63
P 0.6729 0.6739 0.1331  4 O 1.50-1.63
P 0.6729 0.8261 0.6331  4 O 1.50-1.63
P 0.7995 0.1076 0.4736  4 O 1.50-1.63
P 0.7995 0.3924 0.9736  4 O 1.50-1.63
P 0.9676 0.5288 0.2137  4 O 1.50-1.63
P 0.9676 0.9712 0.7137  4 O 1.50-1.63
O 0.0448 0.5423 0.9061  2 P 1.62-1.63
O 0.0448 0.9577 0.4061  2 P 1.62-1.63
O 0.0779 0.5823 0.7262  1 P 1.51
O 0.0779 0.9177 0.2262  1 P 1.51
O 0.1230 0.5967 0.2924  1 P 1.50
O 0.1230 0.9033 0.7924  1 P 1.50
O 0.1601 0.1600 0.3466  2 P 1.63
O 0.1601 0.3400 0.8466  2 P 1.63
O 0.1636 0.7106 0.0966  1 P 1.50
O 0.1636 0.7894 0.5966  1 P 1.50
O 0.2685 0.0475 0.6002  2 P 1.61-1.63
O 0.2685 0.4525 0.1002  2 P 1.61-1.63
O 0.2815 0.2069 0.7580  2 P 1.63
O 0.2815 0.2931 0.2580  2 P 1.63
O 0.2983 0.6654 0.9847  1 P 1.50
O 0.2983 0.8346 0.4847  1 P 1.50
O 0.3695 0.0318 0.3340  1 P 1.50
O 0.3695 0.4682 0.8340  1 P 1.50
O 0.4225 0.5408 0.3236  1 P 1.50
O 0.4225 0.9592 0.8236  1 P 1.50
O 0.4306 0.2439 0.4904  1 P 1.50
O 0.4306 0.2561 0.9904  1 P 1.50
O 0.4813 0.6747 0.7460  1 P 1.50
O 0.4813 0.8253 0.2460  1 P 1.50
O 0.5187 0.1747 0.7540  1 P 1.50
O 0.5187 0.3253 0.2540  1 P 1.50
O 0.5694 0.7439 0.0096  1 P 1.50
O 0.5694 0.7561 0.5096  1 P 1.50
O 0.5775 0.0408 0.1764  1 P 1.50
O 0.5775 0.4592 0.6764  1 P 1.50
O 0.6305 0.5318 0.1660  1 P 1.50
O 0.6305 0.9682 0.6660  1 P 1.50
O 0.7017 0.1654 0.5153  1 P 1.50
O 0.7017 0.3346 0.0153  1 P 1.50
O 0.7185 0.7069 0.7420  2 P 1.63
O 0.7185 0.7931 0.2420  2 P 1.63
O 0.7315 0.5475 0.8998  2 P 1.61-1.63
O 0.7315 0.9525 0.3998  2 P 1.61-1.63
O 0.8364 0.2106 0.4034  1 P 1.50
O 0.8364 0.2894 0.9034  1 P 1.50
O 0.8399 0.6600 0.1534  2 P 1.63
O 0.8399 0.8400 0.6534  2 P 1.63
O 0.8770 0.0967 0.2076  1 P 1.50
O 0.8770 0.4033 0.7076  1 P 1.50
O 0.9221 0.0823 0.7738  1 P 1.51
O 0.9221 0.4177 0.2738  1 P 1.51
O 0.9552 0.0423 0.5939  2 P 1.62-1.63
O 0.9552 0.4577 0.0939  2 P 1.62-1.63


Entry from the Materials Project database: a relaxed structure of CsGdS2 (PBE-GGA).

Calculated total energy ... -30.52 eV per cell
MP2020-corrected energy ... -0.5792 Ry per atom
Formation enthalpy at 0 K ... -8.28 eV per formula unit

a b c (Å): 8.4080 8.4080 8.4080
angles (deg): 28.65 28.65 28.65
With the nearest neighbours (Å) after each atom.
Positions (direct):
Cs 0.0000 0.0000 0.0000  6 S 3.51
Gd 0.5000 0.5000 0.5000  6 S 2.82
S 0.2274 0.2274 0.2274  3 Gd 2.82
S 0.7726 0.7726 0.7726  3 Gd 2.82


Entry from the Materials Project database: a relaxed structure of CsGdSiS4 (PBE-GGA).

Calculated total energy ... -188.25 eV per cell
MP2020-corrected energy ... -0.5153 Ry per atom
Formation enthalpy at 0 K ... -12.13 eV per formula unit

a b c (Å): 6.4428 6.7675 17.9828
angles (deg): 90.00 90.00 90.00
With the nearest neighbours (Å) after each atom.
Positions (direct):
Cs 0.0007 0.0072 0.4673  8 S 3.49-3.87
Cs 0.4993 0.9928 0.9673  8 S 3.49-3.87
Cs 0.5007 0.4928 0.5327  8 S 3.49-3.87
Cs 0.9993 0.5072 0.0327  8 S 3.49-3.87
Gd 0.2082 0.0210 0.7281  7 S 2.82-3.00
Gd 0.2918 0.9790 0.2281  7 S 2.82-3.00
Gd 0.7083 0.4790 0.2719  7 S 2.82-3.00
Gd 0.7917 0.5210 0.7719  7 S 2.82-3.00
Si 0.2101 0.5170 0.3325  4 S 2.11-2.15
Si 0.2899 0.4830 0.8325  4 S 2.11-2.15
Si 0.7101 0.9830 0.6675  4 S 2.11-2.15
Si 0.7899 0.0170 0.1675  4 S 2.11-2.15
S 0.0518 0.0120 0.0967  1 Si 2.11
S 0.0695 0.2528 0.8533  1 Si 2.14
S 0.1062 0.7459 0.8441  1 Si 2.15
S 0.1102 0.5718 0.2213  1 Si 2.13
S 0.3898 0.4282 0.7213  1 Si 2.13
S 0.3938 0.2541 0.3441  1 Si 2.15
S 0.4305 0.7472 0.3533  1 Si 2.14
S 0.4482 0.9880 0.5967  1 Si 2.11
S 0.5518 0.4880 0.9033  1 Si 2.11
S 0.5695 0.2472 0.1467  1 Si 2.14
S 0.6062 0.7541 0.1559  1 Si 2.15
S 0.6102 0.9282 0.7787  1 Si 2.13
S 0.8898 0.0718 0.2787  1 Si 2.13
S 0.8938 0.2459 0.6559  1 Si 2.15
S 0.9305 0.7528 0.6467  1 Si 2.14
S 0.9482 0.5120 0.4033  1 Si 2.11


Entry from the Materials Project database: a relaxed structure of CsGe (PBE-GGA).

Calculated total energy ... -190.14 eV per cell
Relative energy among the computed polymorphs ... 0 meV per atom
Formation enthalpy at 0 K ... -0.42 eV per formula unit

a b c (Å): 13.9358 13.9358 13.9358
angles (deg): 90.00 90.00 90.00
With the nearest neighbours (Å) after each atom.
Positions (direct):
Cs 0.0671 0.1390 0.3383  6 Ge 3.64-4.04, 1 Cs 4.05
Cs 0.0671 0.8610 0.6617  6 Ge 3.64-4.04, 1 Cs 4.05
Cs 0.1390 0.3383 0.0671  6 Ge 3.64-4.04, 1 Cs 4.05
Cs 0.1390 0.6617 0.9329  6 Ge 3.64-4.04, 1 Cs 4.05
Cs 0.1617 0.3610 0.5671  6 Ge 3.64-4.04, 1 Cs 4.05
Cs 0.1617 0.6390 0.4329  6 Ge 3.64-4.04, 1 Cs 4.05
Cs 0.1654 0.1654 0.8346  6 Ge 3.77-4.03, 3 Cs 4.05
Cs 0.1654 0.8346 0.1654  6 Ge 3.77-4.03, 3 Cs 4.05
Cs 0.3346 0.3346 0.3346  6 Ge 3.77-4.03, 3 Cs 4.05
Cs 0.3346 0.6654 0.6654  6 Ge 3.77-4.03, 3 Cs 4.05
Cs 0.3383 0.0671 0.1390  6 Ge 3.64-4.04, 1 Cs 4.05
Cs 0.3383 0.9329 0.8610  6 Ge 3.64-4.04, 1 Cs 4.05
Cs 0.3610 0.4329 0.8383  6 Ge 3.64-4.04, 1 Cs 4.05
Cs 0.3610 0.5671 0.1617  6 Ge 3.64-4.04, 1 Cs 4.05
Cs 0.4329 0.1617 0.6390  6 Ge 3.64-4.04, 1 Cs 4.05
Cs 0.4329 0.8383 0.3610  6 Ge 3.64-4.04, 1 Cs 4.05
Cs 0.5671 0.1617 0.3610  6 Ge 3.64-4.04, 1 Cs 4.05
Cs 0.5671 0.8383 0.6390  6 Ge 3.64-4.04, 1 Cs 4.05
Cs 0.6390 0.4329 0.1617  6 Ge 3.64-4.04, 1 Cs 4.05
Cs 0.6390 0.5671 0.8383  6 Ge 3.64-4.04, 1 Cs 4.05
Cs 0.6617 0.0671 0.8610  6 Ge 3.64-4.04, 1 Cs 4.05
Cs 0.6617 0.9329 0.1390  6 Ge 3.64-4.04, 1 Cs 4.05
Cs 0.6654 0.3346 0.6654  6 Ge 3.77-4.03, 3 Cs 4.05
Cs 0.6654 0.6654 0.3346  6 Ge 3.77-4.03, 3 Cs 4.05
Cs 0.8346 0.1654 0.1654  6 Ge 3.77-4.03, 3 Cs 4.05
Cs 0.8346 0.8346 0.8346  6 Ge 3.77-4.03, 3 Cs 4.05
Cs 0.8383 0.3610 0.4329  6 Ge 3.64-4.04, 1 Cs 4.05
Cs 0.8383 0.6390 0.5671  6 Ge 3.64-4.04, 1 Cs 4.05
Cs 0.8610 0.3383 0.9329  6 Ge 3.64-4.04, 1 Cs 4.05
Cs 0.8610 0.6617 0.0671  6 Ge 3.64-4.04, 1 Cs 4.05
Cs 0.9329 0.1390 0.6617  6 Ge 3.64-4.04, 1 Cs 4.05
Cs 0.9329 0.8610 0.3383  6 Ge 3.64-4.04, 1 Cs 4.05
Ge 0.0613 0.4282 0.3150  3 Ge 2.60-2.63
Ge 0.0613 0.5718 0.6850  3 Ge 2.60-2.63
Ge 0.0662 0.0662 0.0662  3 Ge 2.61
Ge 0.0662 0.9338 0.9338  3 Ge 2.61
Ge 0.0718 0.4387 0.8150  3 Ge 2.60-2.63
Ge 0.0718 0.5613 0.1850  3 Ge 2.60-2.63
Ge 0.1850 0.0718 0.5613  3 Ge 2.60-2.63
Ge 0.1850 0.9282 0.4387  3 Ge 2.60-2.63
Ge 0.3150 0.0613 0.4282  3 Ge 2.60-2.63
Ge 0.3150 0.9387 0.5718  3 Ge 2.60-2.63
Ge 0.4282 0.3150 0.0613  3 Ge 2.60-2.63
Ge 0.4282 0.6850 0.9387  3 Ge 2.60-2.63
Ge 0.4338 0.4338 0.5662  3 Ge 2.61
Ge 0.4338 0.5662 0.4338  3 Ge 2.61
Ge 0.4387 0.1850 0.9282  3 Ge 2.60-2.63
Ge 0.4387 0.8150 0.0718  3 Ge 2.60-2.63
Ge 0.5613 0.1850 0.0718  3 Ge 2.60-2.63
Ge 0.5613 0.8150 0.9282  3 Ge 2.60-2.63
Ge 0.5662 0.4338 0.4338  3 Ge 2.61
Ge 0.5662 0.5662 0.5662  3 Ge 2.61
Ge 0.5718 0.3150 0.9387  3 Ge 2.60-2.63
Ge 0.5718 0.6850 0.0613  3 Ge 2.60-2.63
Ge 0.6850 0.0613 0.5718  3 Ge 2.60-2.63
Ge 0.6850 0.9387 0.4282  3 Ge 2.60-2.63
Ge 0.8150 0.0718 0.4387  3 Ge 2.60-2.63
Ge 0.8150 0.9282 0.5613  3 Ge 2.60-2.63
Ge 0.9282 0.4387 0.1850  3 Ge 2.60-2.63
Ge 0.9282 0.5613 0.8150  3 Ge 2.60-2.63
Ge 0.9338 0.0662 0.9338  3 Ge 2.61
Ge 0.9338 0.9338 0.0662  3 Ge 2.61
Ge 0.9387 0.4282 0.6850  3 Ge 2.60-2.63
Ge 0.9387 0.5718 0.3150  3 Ge 2.60-2.63